Below is Na3Zr2Si2PO12 after structural relaxation, with properties calculated at the GGA-PBE level.

Values from the calculation:
Its space group is P1, No. 1. As for the formation energy: -3.143 eV/atom. The crystal system is triclinic.

a = 9.168 Å, b = 9.168 Å, c = 16.329 Å
α = 73.74°, β = 89.06°, γ = 60.02°
Fractional coordinates of all 80 atoms:
1 Na 0.000 0.000 0.000
2 Na 0.036 0.638 0.602
3 Na 0.216 0.548 0.167
4 Na 0.259 0.202 0.755
5 Na 0.305 0.915 0.344
6 Na 0.451 0.298 0.925
7 Na 0.502 0.996 0.501
8 Na 0.567 0.653 0.089
9 Na 0.685 0.531 0.686
10 Na 0.756 0.208 0.252
11 Na 0.806 0.917 0.844
12 Na 0.953 0.299 0.425
13 Zr 0.058 0.254 0.162
14 Zr 0.216 0.951 0.600
15 Zr 0.303 0.753 0.911
16 Zr 0.451 0.458 0.352
17 Zr 0.557 0.253 0.660
18 Zr 0.718 0.952 0.102
19 Zr 0.805 0.751 0.411
20 Zr 0.953 0.456 0.853
21 Si 0.008 0.646 0.006
22 Si 0.044 0.852 0.250
23 Si 0.222 0.354 0.514
24 Si 0.474 0.129 0.263
25 Si 0.511 0.646 0.505
26 Si 0.543 0.850 0.751
27 Si 0.721 0.355 0.013
28 Si 0.973 0.130 0.762
29 P 0.259 0.558 0.755
30 P 0.295 0.073 0.002
31 P 0.760 0.558 0.256
32 P 0.796 0.073 0.501
33 O 0.033 0.534 0.485
34 O 0.048 0.483 0.093
35 O 0.054 0.969 0.855
36 O 0.062 0.024 0.241
37 O 0.095 0.071 0.689
38 O 0.107 0.527 0.759
39 O 0.174 0.671 0.006
40 O 0.178 0.124 0.071
41 O 0.202 0.181 0.521
42 O 0.219 0.225 0.915
43 O 0.219 0.709 0.671
44 O 0.232 0.670 0.276
45 O 0.284 0.166 0.236
46 O 0.291 0.600 0.836
47 O 0.305 0.337 0.607
48 O 0.312 0.900 0.994
49 O 0.341 0.834 0.506
50 O 0.349 0.352 0.442
51 O 0.417 0.856 0.824
52 O 0.423 0.381 0.757
53 O 0.458 0.859 0.661
54 O 0.459 0.312 0.270
55 O 0.474 0.036 0.029
56 O 0.477 0.607 0.417
57 O 0.534 0.537 0.982
58 O 0.545 0.482 0.591
59 O 0.557 0.969 0.356
60 O 0.567 0.021 0.741
61 O 0.597 0.072 0.190
62 O 0.605 0.531 0.257
63 O 0.677 0.670 0.506
64 O 0.679 0.121 0.570
65 O 0.698 0.185 0.021
66 O 0.716 0.225 0.413
67 O 0.726 0.709 0.173
68 O 0.730 0.666 0.779
69 O 0.780 0.173 0.735
70 O 0.791 0.597 0.338
71 O 0.806 0.342 0.105
72 O 0.816 0.898 0.494
73 O 0.838 0.834 0.005
74 O 0.850 0.347 0.941
75 O 0.920 0.849 0.323
76 O 0.922 0.379 0.258
77 O 0.961 0.310 0.770
78 O 0.961 0.865 0.158
79 O 0.973 0.042 0.527
80 O 0.975 0.606 0.918